Entry 1:
The following is a PBE calculation of a geometry-optimized Rb2O3 structure, from the Materials Project database.

abc: 8.196 8.196 8.196
angles: 101.40 113.65 113.65
Element x y z (fractional)
Rb (0.149, 0.654, 0.898)
Rb (0.744, 0.096, 0.745)
Rb (0.851, 0.749, 0.505)
Rb (0.256, 0.001, 0.352)
Rb (0.756, 0.102, 0.251)
Rb (0.649, 0.648, 0.904)
Rb (0.244, 0.495, 0.346)
Rb (0.351, 0.255, 0.999)
O (0.500, 0.820, 0.320)
O (0.000, 0.930, 0.930)
O (0.500, 0.680, 0.180)
O (0.000, 0.070, 0.070)
O (0.902, 0.565, 0.212)
O (0.147, 0.185, 0.587)
O (0.098, 0.310, 0.663)
O (0.853, 0.440, 0.038)
O (0.353, 0.788, 0.690)
O (0.402, 0.962, 0.815)
O (0.647, 0.337, 0.435)
O (0.598, 0.413, 0.560)

The value obtained for the formation energy is -1.010 eV/atom. The space-group type is I-42d, No. 122. The total magnetization is 1.00 μB/f.u. The total energy is -4.274 eV/atom. As for the calculated density: 3.48 g/cm3.

Entry 2:
The following is a PBE calculation of a geometry-optimized RbO structure, from the Materials Project database.

abc: 4.095 4.095 4.095
angles: 60.00 60.00 60.00
Element x y z (fractional)
Rb (0.000, 0.000, 0.000)
O (0.500, 0.500, 0.500)

The value obtained for the formation energy is -0.899 eV/atom. The space-group type is Fm-3m, No. 225. The total magnetization is 1.00 μB/f.u. The total energy is -3.520 eV/atom. As for the calculated density: 3.47 g/cm3.

Entry 3:
The following is a PBE calculation of a geometry-optimized Rb2O3 structure, from the Materials Project database.

abc: 8.126 8.126 8.126
angles: 109.47 109.47 109.47
Element x y z (fractional)
Rb (0.500, 0.000, 0.102)
Rb (0.602, 0.500, 0.000)
Rb (0.000, 0.602, 0.500)
Rb (0.898, 0.898, 0.898)
Rb (0.000, 0.102, 0.500)
Rb (0.398, 0.398, 0.398)
Rb (0.102, 0.500, 0.000)
Rb (0.500, 0.000, 0.602)
O (0.550, 0.750, 0.300)
O (0.750, 0.450, 0.700)
O (0.250, 0.050, 0.800)
O (0.450, 0.700, 0.750)
O (0.050, 0.800, 0.250)
O (0.700, 0.750, 0.450)
O (0.300, 0.550, 0.750)
O (0.250, 0.200, 0.950)
O (0.200, 0.950, 0.250)
O (0.750, 0.300, 0.550)
O (0.950, 0.250, 0.200)
O (0.800, 0.250, 0.050)

The value obtained for the formation energy is -1.024 eV/atom. The space-group type is I-43d, No. 220. The total magnetization is 1.00 μB/f.u. The total energy is -4.288 eV/atom. As for the calculated density: 3.52 g/cm3.

Entry 4:
The following is a PBE calculation of a geometry-optimized RbO structure, from the Materials Project database.

abc: 5.624 5.624 4.256
angles: 90.00 90.00 139.01
Element x y z (fractional)
Rb (0.626, 0.374, 0.250)
Rb (0.374, 0.626, 0.750)
O (0.919, 0.081, 0.250)
O (0.081, 0.919, 0.750)

The value obtained for the formation energy is -0.953 eV/atom. The space-group type is Cmcm, No. 63. The total magnetization is 1.00 μB/f.u. The total energy is -3.573 eV/atom. As for the calculated density: 3.82 g/cm3.

Entry 5:
The following is a PBE calculation of a geometry-optimized RbO structure, from the Materials Project database.

abc: 4.328 4.058 5.896
angles: 83.49 90.00 90.00
Element x y z (fractional)
Rb (0.750, 0.736, 0.749)
Rb (0.250, 0.264, 0.251)
O (0.750, 0.768, 0.247)
O (0.250, 0.232, 0.753)

The value obtained for the formation energy is -0.932 eV/atom. The space-group type is P2_1/m, No. 11. The total magnetization is 1.00 μB/f.u. The total energy is -3.553 eV/atom. As for the calculated density: 3.28 g/cm3.

Entry 6:
The following is a PBE calculation of a geometry-optimized Rb9O2 structure, from the Materials Project database.

abc: 14.087 8.435 11.741
angles: 75.53 90.00 90.00
Element x y z (fractional)
Rb (0.891, 0.277, 0.458)
Rb (0.391, 0.723, 0.542)
Rb (0.109, 0.723, 0.542)
Rb (0.609, 0.277, 0.458)
Rb (0.878, 0.060, 0.184)
Rb (0.378, 0.940, 0.816)
Rb (0.122, 0.940, 0.816)
Rb (0.622, 0.060, 0.184)
Rb (0.750, 0.971, 0.894)
Rb (0.250, 0.029, 0.106)
Rb (0.750, 0.853, 0.497)
Rb (0.250, 0.147, 0.503)
Rb (0.750, 0.437, 0.153)
Rb (0.250, 0.563, 0.847)
Rb (0.609, 0.389, 0.863)
Rb (0.109, 0.611, 0.137)
Rb (0.391, 0.611, 0.137)
Rb (0.891, 0.389, 0.863)
O (0.250, 0.844, 0.657)
O (0.750, 0.156, 0.343)
O (0.250, 0.780, 0.997)
O (0.750, 0.220, 0.003)

The value obtained for the formation energy is -0.658 eV/atom. The space-group type is P2_1/m, No. 11. The total energy is -2.235 eV/atom. As for the calculated density: 1.97 g/cm3.